[1]
A relaxed K9Fe2O8 crystal. Source: Materials Project, functional PBE+U.

Cell lengths 10.5660, 10.5660, 13.5879 Å; angles 92.63, 92.63, 76.38 degrees
Element x y z (fractional)
K 0.0394 0.9606 0.7500
K 0.0765 0.0958 0.5391
K 0.0932 0.6020 0.5346
K 0.0941 0.4015 0.1199
K 0.0958 0.0765 0.0391
K 0.0958 0.3125 0.8903
K 0.1084 0.7127 0.2831
K 0.1849 0.6136 0.7865
K 0.2006 0.3898 0.3420
K 0.2873 0.8916 0.2169
K 0.3125 0.0958 0.3903
K 0.3864 0.8151 0.7135
K 0.3874 0.4205 0.0279
K 0.3898 0.2006 0.8420
K 0.3980 0.9068 0.9654
K 0.4015 0.0941 0.6199
K 0.4205 0.3874 0.5279
K 0.4438 0.5562 0.2500
K 0.5562 0.4438 0.7500
K 0.5795 0.6126 0.4721
K 0.5985 0.9059 0.3801
K 0.6020 0.0932 0.0346
K 0.6102 0.7994 0.1580
K 0.6126 0.5795 0.9721
K 0.6136 0.1849 0.2865
K 0.6875 0.9042 0.6097
K 0.7127 0.1084 0.7831
K 0.7994 0.6102 0.6580
K 0.8151 0.3864 0.2135
K 0.8916 0.2873 0.7169
K 0.9042 0.6875 0.1097
K 0.9042 0.9235 0.9609
K 0.9059 0.5985 0.8801
K 0.9068 0.3980 0.4654
K 0.9235 0.9042 0.4609
K 0.9606 0.0394 0.2500
Fe 0.1756 0.3386 0.6613
Fe 0.1985 0.7261 0.0193
Fe 0.2739 0.8015 0.4807
Fe 0.3386 0.1756 0.1613
Fe 0.6614 0.8244 0.8387
Fe 0.7261 0.1985 0.5193
Fe 0.8015 0.2739 0.9807
Fe 0.8244 0.6614 0.3387
O 0.0283 0.4685 0.7034
O 0.0895 0.8357 0.1092
O 0.1408 0.5719 0.9835
O 0.1643 0.9105 0.3908
O 0.1671 0.1809 0.7167
O 0.1726 0.8180 0.5924
O 0.1809 0.1671 0.2167
O 0.1820 0.8274 0.9076
O 0.1845 0.3081 0.5215
O 0.3081 0.1845 0.0215
O 0.3123 0.6290 0.4221
O 0.3302 0.3871 0.7089
O 0.3710 0.6877 0.0779
O 0.3871 0.3302 0.2089
O 0.4281 0.8592 0.5165
O 0.4685 0.0283 0.2034
O 0.5315 0.9717 0.7966
O 0.5719 0.1408 0.4835
O 0.6129 0.6698 0.7911
O 0.6290 0.3123 0.9221
O 0.6698 0.6129 0.2911
O 0.6877 0.3710 0.5779
O 0.6919 0.8155 0.9785
O 0.8155 0.6919 0.4785
O 0.8180 0.1726 0.0924
O 0.8191 0.8329 0.7833
O 0.8274 0.1820 0.4076
O 0.8329 0.8191 0.2833
O 0.8357 0.0895 0.6092
O 0.8592 0.4281 0.0165
O 0.9105 0.1643 0.8908
O 0.9717 0.5315 0.2966

Results
* formation energy from the elements: -1.3801 eV/atom


[2]
A relaxed KFeO2 crystal. Source: Materials Project, functional PBE+U.

Cell lengths 6.4379, 6.7206, 6.8930 Å; angles 81.72, 76.50, 103.85 degrees
Element x y z (fractional)
O 0.1095 0.7570 0.3192
K 0.7422 0.6569 0.6882
Fe 0.9219 0.8666 0.1791
O 0.8905 0.2430 0.6808
O 0.9828 0.8341 0.9028
O 0.5172 0.1659 0.0972
Fe 0.5781 0.1334 0.8209
O 0.6095 0.7571 0.3192
Fe 0.0781 0.1334 0.8209
K 0.7578 0.3431 0.3118
O 0.3905 0.2430 0.6808
Fe 0.4219 0.8666 0.1791
O 0.4828 0.8341 0.9028
O 0.0172 0.1659 0.0972
K 0.2578 0.3431 0.3118
K 0.2422 0.6569 0.6882

Results
* formation energy from the elements: -1.6873 eV/atom


[3]
A relaxed K3Fe22O34 crystal. Source: Materials Project, functional PBE+U.

Cell lengths 6.0591, 6.0633, 24.1378 Å; angles 89.70, 89.85, 60.10 degrees
Element x y z (fractional)
K 0.0000 0.0000 0.0000
K 0.1658 0.4057 0.4927
K 0.5617 0.7178 0.4904
Fe 0.1532 0.1526 0.1408
Fe 0.1534 0.1536 0.8505
Fe 0.1529 0.6571 0.1401
Fe 0.1535 0.6567 0.8508
Fe 0.3219 0.3213 0.2477
Fe 0.3216 0.3211 0.7451
Fe 0.4852 0.4868 0.3507
Fe 0.4863 0.9908 0.3507
Fe 0.4883 0.4888 0.6393
Fe 0.4882 0.9857 0.6396
Fe 0.6544 0.6540 0.9201
Fe 0.6549 0.6541 0.2209
Fe 0.6547 0.6549 0.0720
Fe 0.6551 0.6546 0.7712
Fe 0.6569 0.1536 0.8508
Fe 0.6578 0.1522 0.1402
Fe 0.9809 0.9915 0.4165
Fe 0.9833 0.9906 0.5712
Fe 0.9844 0.4890 0.6399
Fe 0.9880 0.9868 0.7192
Fe 0.9895 0.4877 0.3504
Fe 0.9897 0.9900 0.2696
O 0.0071 0.4774 0.1963
O 0.0089 0.4775 0.7942
O 0.0274 0.9655 0.4957
O 0.1638 0.1654 0.6931
O 0.1636 0.6338 0.6930
O 0.1684 0.1713 0.3006
O 0.1696 0.6228 0.2997
O 0.3119 0.8259 0.8897
O 0.3117 0.8273 0.0982
O 0.3200 0.3216 0.6006
O 0.3213 0.3214 0.1044
O 0.3213 0.3205 0.8863
O 0.3218 0.3198 0.3935
O 0.3275 0.8170 0.3934
O 0.3289 0.8177 0.5989
O 0.4778 0.0069 0.1965
O 0.4783 0.0081 0.7941
O 0.4779 0.4773 0.7941
O 0.4788 0.4783 0.1962
O 0.6248 0.1701 0.3006
O 0.6347 0.1640 0.6926
O 0.6505 0.6508 0.9946
O 0.6551 0.6542 0.3021
O 0.6548 0.6538 0.6896
O 0.8108 0.3409 0.3970
O 0.8117 0.8107 0.3971
O 0.8124 0.8132 0.5964
O 0.8131 0.3374 0.5964
O 0.8260 0.3121 0.8897
O 0.8261 0.8256 0.8898
O 0.8264 0.8268 0.0977
O 0.8272 0.3115 0.0982
O 0.9872 0.9850 0.1863
O 0.9880 0.9878 0.7986

Results
* formation energy from the elements: -1.6473 eV/atom
* E above lowest polymorph: 0.000 eV per atom


[4]
A relaxed K14Fe4O13 crystal. Source: Materials Project, functional PBE+U.

Cell lengths 6.7743, 30.2030, 6.7776 Å; angles 90.00, 119.20, 90.00 degrees
Element x y z (fractional)
K 0.1303 0.1528 0.4976
K 0.1303 0.3472 0.9976
K 0.1493 0.5509 0.9981
K 0.1493 0.9491 0.4981
K 0.2586 0.1113 0.0438
K 0.2586 0.3887 0.5438
K 0.2707 0.5011 0.5412
K 0.2707 0.9989 0.0412
K 0.2754 0.7283 0.5578
K 0.2754 0.7717 0.0578
K 0.2805 0.2192 0.0531
K 0.2805 0.2808 0.5531
K 0.2833 0.6140 0.5434
K 0.2833 0.8860 0.0434
K 0.7167 0.1140 0.9566
K 0.7167 0.3860 0.4566
K 0.7195 0.7192 0.4469
K 0.7195 0.7808 0.9469
K 0.7246 0.2283 0.9422
K 0.7246 0.2717 0.4422
K 0.7293 0.0011 0.9588
K 0.7293 0.4989 0.4588
K 0.7414 0.6113 0.4562
K 0.7414 0.8887 0.9562
K 0.8507 0.0509 0.5019
K 0.8507 0.4491 0.0019
K 0.8697 0.6528 0.0024
K 0.8697 0.8472 0.5024
Fe 0.3434 0.0546 0.5007
Fe 0.3434 0.4454 0.0007
Fe 0.3504 0.6642 0.9989
Fe 0.3504 0.8358 0.4989
Fe 0.6496 0.1642 0.5011
Fe 0.6496 0.3358 0.0011
Fe 0.6566 0.5546 0.9993
Fe 0.6566 0.9454 0.4993
O 0.0579 0.0570 0.2346
O 0.0579 0.4430 0.7346
O 0.0674 0.6701 0.7284
O 0.0674 0.8299 0.2284
O 0.3233 0.0567 0.7692
O 0.3233 0.4433 0.2692
O 0.3282 0.6719 0.2673
O 0.3282 0.8281 0.7673
O 0.4401 0.2067 0.4998
O 0.4401 0.2933 0.9998
O 0.4728 0.6039 0.0019
O 0.4728 0.8961 0.5019
O 0.5000 0.0000 0.5000
O 0.5000 0.5000 0.0000
O 0.5272 0.1039 0.4981
O 0.5272 0.3961 0.9981
O 0.5599 0.7067 0.0002
O 0.5599 0.7933 0.5002
O 0.6718 0.1719 0.2327
O 0.6718 0.3281 0.7327
O 0.6767 0.5567 0.7308
O 0.6767 0.9433 0.2308
O 0.9326 0.1701 0.7716
O 0.9326 0.3299 0.2716
O 0.9421 0.5570 0.2654
O 0.9421 0.9430 0.7654

Results
* formation energy from the elements: -1.6244 eV/atom


[5]
A relaxed KFe11O17 crystal. Source: Materials Project, functional PBE+U.

Cell lengths 5.9908, 5.9908, 24.0591 Å; angles 90.10, 90.10, 120.01 degrees
Element x y z (fractional)
K 0.0000 0.0000 0.0000
K 0.6674 0.3326 0.5000
Fe 0.9999 0.9991 0.5758
Fe 0.0009 0.0001 0.4242
Fe 0.0014 0.0006 0.7247
Fe 0.1625 0.3289 0.1415
Fe 0.1638 0.8313 0.1432
Fe 0.1679 0.3325 0.8516
Fe 0.1687 0.8362 0.8568
Fe 0.3335 0.6655 0.7496
Fe 0.3345 0.6665 0.2504
Fe 0.5015 0.4975 0.3552
Fe 0.5023 0.0023 0.6449
Fe 0.5025 0.4985 0.6448
Fe 0.5030 0.0019 0.3568
Fe 0.6662 0.3303 0.7754
Fe 0.6682 0.3309 0.9243
Fe 0.6675 0.8321 0.1484
Fe 0.6691 0.3318 0.0757
Fe 0.6697 0.3338 0.2246
Fe 0.6711 0.8375 0.8585
Fe 0.9981 0.4970 0.6432
Fe 0.9977 0.4977 0.3551
Fe 0.9994 0.9986 0.2753
O 0.0030 0.0042 0.8054
O 0.0211 0.5024 0.8011
O 0.0215 0.5094 0.1981
O 0.1770 0.3520 0.6985
O 0.1770 0.8231 0.2996
O 0.1769 0.8230 0.7004
O 0.1776 0.3516 0.2994
O 0.3263 0.1698 0.8955
O 0.3267 0.1620 0.1024
O 0.3290 0.6558 0.8916
O 0.3335 0.6657 0.3927
O 0.3343 0.6665 0.6073
O 0.3420 0.1698 0.6038
O 0.3426 0.1704 0.3969
O 0.3442 0.6710 0.1084
O 0.4835 0.5025 0.8012
O 0.4906 0.9785 0.8019
O 0.4975 0.5165 0.1988
O 0.4976 0.9789 0.1989
O 0.6484 0.8224 0.7006
O 0.6480 0.8230 0.3015
O 0.6666 0.3322 0.3038
O 0.6675 0.3325 0.0000
O 0.6678 0.3334 0.6962
O 0.8280 0.1512 0.1031
O 0.8295 0.1702 0.6040
O 0.8298 0.1705 0.3960
O 0.8296 0.6574 0.6031
O 0.8302 0.6580 0.3962
O 0.8302 0.6737 0.1045
O 0.8380 0.6733 0.8976
O 0.8488 0.1720 0.8969
O 0.9958 0.9970 0.1946
O 0.9993 0.0007 0.5000

Results
* formation energy from the elements: -1.1551 eV/atom
* E above lowest polymorph: 0.474 eV per atom


[6]
A relaxed K3Fe2O4 crystal. Source: Materials Project, functional PBE+U.

Cell lengths 10.3507, 9.1039, 6.5355 Å; angles 81.08, 60.33, 38.59 degrees
Element x y z (fractional)
K 0.0162 0.0162 0.2338
K 0.2338 0.2338 0.0162
K 0.3750 0.3750 0.3750
K 0.6250 0.6250 0.6250
K 0.7662 0.7662 0.9838
K 0.9838 0.9838 0.7662
Fe 0.1831 0.1831 0.5669
Fe 0.4331 0.4331 0.8169
Fe 0.5669 0.5669 0.1831
Fe 0.8169 0.8169 0.4331
O 0.0000 0.5000 0.5000
O 0.0570 0.6930 0.0570
O 0.3070 0.9430 0.3070
O 0.5000 0.0000 0.5000
O 0.5000 0.5000 0.0000
O 0.5000 0.5000 0.5000
O 0.6930 0.0570 0.6930
O 0.9430 0.3070 0.9430

Results
* formation energy from the elements: -1.5734 eV/atom


[7]
A relaxed K9Fe2O7 crystal. Source: Materials Project, functional PBE+U.

Cell lengths 11.1390, 11.1390, 11.1390 Å; angles 90.00, 90.00, 90.00 degrees
Element x y z (fractional)
K 0.0091 0.2849 0.8378
K 0.0310 0.7819 0.1645
K 0.0746 0.0746 0.0746
K 0.0971 0.5971 0.9029
K 0.1622 0.5091 0.2151
K 0.1645 0.0310 0.7819
K 0.2151 0.1622 0.5091
K 0.2181 0.6645 0.4690
K 0.2367 0.2367 0.2367
K 0.2633 0.7633 0.7367
K 0.2819 0.3355 0.9690
K 0.2849 0.8378 0.0091
K 0.3355 0.9690 0.2819
K 0.3378 0.4909 0.7151
K 0.4029 0.4029 0.4029
K 0.4254 0.9254 0.5746
K 0.4690 0.2181 0.6645
K 0.4909 0.7151 0.3378
K 0.5091 0.2151 0.1622
K 0.5310 0.7181 0.8355
K 0.5746 0.4254 0.9254
K 0.5971 0.9029 0.0971
K 0.6622 0.9909 0.7849
K 0.6645 0.4690 0.2181
K 0.7151 0.3378 0.4909
K 0.7181 0.8355 0.5310
K 0.7367 0.2633 0.7633
K 0.7633 0.7367 0.2633
K 0.7819 0.1645 0.0310
K 0.7849 0.6622 0.9909
K 0.8355 0.5310 0.7181
K 0.8378 0.0091 0.2849
K 0.9029 0.0971 0.5971
K 0.9254 0.5746 0.4254
K 0.9690 0.2819 0.3355
K 0.9909 0.7849 0.6622
Fe 0.0720 0.9280 0.4280
Fe 0.0951 0.4049 0.5951
Fe 0.4049 0.5951 0.0951
Fe 0.4280 0.0720 0.9280
Fe 0.5720 0.5720 0.5720
Fe 0.5951 0.0951 0.4049
Fe 0.9049 0.9049 0.9049
Fe 0.9280 0.4280 0.0720
O 0.0607 0.3196 0.0849
O 0.0664 0.8395 0.9116
O 0.0849 0.0607 0.3196
O 0.0884 0.5664 0.6605
O 0.1605 0.4116 0.4336
O 0.1804 0.9151 0.5607
O 0.1960 0.3040 0.6960
O 0.3040 0.6960 0.1960
O 0.3196 0.0849 0.0607
O 0.3395 0.5884 0.9336
O 0.4116 0.4336 0.1605
O 0.4151 0.9393 0.8196
O 0.4336 0.1605 0.4116
O 0.4393 0.6804 0.5849
O 0.5607 0.1804 0.9151
O 0.5664 0.6605 0.0884
O 0.5849 0.4393 0.6804
O 0.5884 0.9336 0.3395
O 0.6605 0.0884 0.5664
O 0.6804 0.5849 0.4393
O 0.6960 0.1960 0.3040
O 0.8040 0.8040 0.8040
O 0.8196 0.4151 0.9393
O 0.8395 0.9116 0.0664
O 0.9116 0.0664 0.8395
O 0.9151 0.5607 0.1804
O 0.9336 0.3395 0.5884
O 0.9393 0.8196 0.4151

Results
* formation energy from the elements: -1.5077 eV/atom